1.
Below is a geometry-optimized GdMgZn2 structure, with properties calculated at the r2SCAN level.

```
GdMgZn2
1.0
0.000 3.417 3.417
3.419 0.000 3.417
3.419 3.417 0.000
Gd Zn Mg
1 2 1
direct
0.250 0.250 0.250
0.500 0.500 0.500
0.000 0.000 0.000
0.750 0.750 0.750
```

Results
Size of the total moment = 7.3 μB per formula unit
Density = 6.50 g/cm3
SG = Fm-3m (225)
Energy relative to the elements = -1.30 eV per formula unit



2.
Below is a geometry-optimized Cs2PdI6 structure, with properties calculated at the r2SCAN level.

```
Cs2PdI6
1.0
7.073 0.000 4.083
2.358 6.668 4.083
0.000 0.000 8.167
Cs I Pd
2 6 1
direct
0.250 0.250 0.250
0.750 0.750 0.750
0.235 0.765 0.765
0.235 0.235 0.765
0.235 0.765 0.235
0.765 0.765 0.235
0.765 0.235 0.235
0.765 0.235 0.765
0.000 0.000 0.000
```

Results
Size of the total moment = 0.0 μB per formula unit
Density = 4.89 g/cm3
SG = Fm-3m (225)
Energy relative to the elements = -8.42 eV per formula unit



3.
Below is a geometry-optimized Cs2PtBr6 structure, with properties calculated at the r2SCAN level.

```
Cs2PtBr6
1.0
2.303 5.975 4.181
6.023 -0.689 4.662
6.565 3.543 -1.685
Cs Br Pt
2 6 1
direct
0.250 0.250 0.250
0.750 0.750 0.750
0.231 0.231 0.769
0.769 0.769 0.231
0.769 0.231 0.769
0.769 0.231 0.231
0.231 0.769 0.231
0.231 0.769 0.769
0.000 0.000 0.000
```

Results
Size of the total moment = 0.0 μB per formula unit
Density = 4.94 g/cm3
SG = Fm-3m (225)
Energy relative to the elements = -11.09 eV per formula unit



4.
Below is a geometry-optimized Ca2B6O11 structure, with properties calculated at the r2SCAN level.

```
Ca2B6O11
1.0
10.738 0.000 0.000
0.000 8.578 -0.029
0.000 3.161 8.038
O B Ca
44 24 8
direct
0.347 0.920 0.626
0.227 0.654 0.138
0.465 0.674 0.765
0.273 0.654 0.638
0.442 0.602 0.138
0.876 0.776 0.808
0.449 0.780 0.463
0.624 0.776 0.308
0.381 0.399 0.404
0.558 0.398 0.862
0.135 0.886 0.529
0.847 0.080 0.874
0.805 0.857 0.445
0.801 0.929 0.154
0.376 0.224 0.692
0.680 0.638 0.847
0.699 0.929 0.654
0.124 0.224 0.192
0.365 0.886 0.029
0.695 0.857 0.945
0.653 0.080 0.374
0.180 0.362 0.653
0.195 0.143 0.555
0.153 0.920 0.126
0.051 0.780 0.963
0.551 0.220 0.537
0.942 0.398 0.362
0.773 0.346 0.862
0.058 0.602 0.638
0.727 0.346 0.362
0.301 0.071 0.346
0.035 0.674 0.265
0.865 0.114 0.471
0.619 0.601 0.596
0.965 0.326 0.735
0.305 0.143 0.055
0.320 0.362 0.153
0.881 0.601 0.096
0.535 0.326 0.235
0.199 0.071 0.846
0.119 0.399 0.904
0.949 0.220 0.037
0.820 0.638 0.347
0.635 0.114 0.971
0.763 0.804 0.307
0.384 0.760 0.622
0.580 0.584 0.767
0.616 0.240 0.378
0.345 0.715 0.101
0.750 0.991 0.988
0.937 0.713 0.960
0.420 0.416 0.233
0.655 0.285 0.899
0.250 0.009 0.012
0.237 0.196 0.693
0.063 0.287 0.040
0.884 0.240 0.878
0.116 0.760 0.122
0.845 0.285 0.399
0.920 0.584 0.267
0.080 0.416 0.733
0.737 0.804 0.807
0.263 0.196 0.193
0.563 0.713 0.460
0.750 0.991 0.488
0.250 0.009 0.512
0.437 0.287 0.540
0.155 0.715 0.601
0.992 0.975 0.282
0.839 0.585 0.641
0.339 0.415 0.859
0.008 0.025 0.718
0.161 0.415 0.359
0.492 0.025 0.218
0.661 0.585 0.141
0.508 0.975 0.782
```

Results
Size of the total moment = 0.0 μB per formula unit
Density = 2.88 g/cm3
SG = P2_1/c (14)
Energy relative to the elements = -54.48 eV per formula unit



Look up the energy relative to the elements of the first one. -1.30 eV per formula unit



Which value of density does entry 3 give? 4.94 g/cm3